Record 1
# PBE Rb2Li14Pr3O14, optimized geometry
# total DFT energy (no corrections) = -177.14 eV for the cell shown
# crystal system = orthorhombic
# DFT formation energy = -2.256 eV per atom
# total magnetization = 2.999 μB/f.u.
# E (MP2020) = -186.755 eV/cell
data_Rb2Li14Pr3O14
_symmetry_space_group_name_H-M 'P 1'
_symmetry_Int_Tables_number 1
_cell_length_a 8.860
_cell_length_b 8.860
_cell_length_c 8.860
_cell_angle_alpha 129.96
_cell_angle_beta 123.56
_cell_angle_gamma 78.75
loop_
_symmetry_equiv_pos_as_xyz
'x,y,z'
loop_
_atom_site_label
_atom_site_type_symbol
_atom_site_fract_x
_atom_site_fract_y
_atom_site_fract_z
_atom_site_occupancy
Rb1 Rb 0.000 0.238 0.238 1
Rb2 Rb 0.000 0.762 0.762 1
Li1 Li 0.086 0.231 0.854 1
Li2 Li 0.213 0.145 0.624 1
Li3 Li 0.213 0.589 0.068 1
Li4 Li 0.341 0.500 0.841 1
Li5 Li 0.377 0.231 0.146 1
Li6 Li 0.479 0.411 0.624 1
Li7 Li 0.479 0.855 0.068 1
Li8 Li 0.521 0.145 0.932 1
Li9 Li 0.521 0.589 0.376 1
Li10 Li 0.623 0.769 0.854 1
Li11 Li 0.659 0.500 0.159 1
Li12 Li 0.787 0.411 0.932 1
Li13 Li 0.787 0.855 0.376 1
Li14 Li 0.914 0.769 0.146 1
Pr1 Pr 0.228 0.728 0.500 1
Pr2 Pr 0.500 0.000 0.500 1
Pr3 Pr 0.772 0.272 0.500 1
O1 O 0.098 0.376 0.722 1
O2 O 0.178 0.868 0.310 1
O3 O 0.259 0.064 0.805 1
O4 O 0.259 0.454 0.195 1
O5 O 0.347 0.624 0.722 1
O6 O 0.442 0.132 0.310 1
O7 O 0.500 0.306 0.806 1
O8 O 0.500 0.694 0.194 1
O9 O 0.558 0.868 0.690 1
O10 O 0.653 0.376 0.278 1
O11 O 0.741 0.546 0.805 1
O12 O 0.741 0.936 0.195 1
O13 O 0.822 0.132 0.690 1
O14 O 0.902 0.624 0.278 1

***

Record 2
# PBE LiPr2RuO6, optimized geometry
# total DFT energy (no corrections) = -148.41 eV for the cell shown
# crystal system = monoclinic
# DFT formation energy = -2.789 eV per atom
# total magnetization = 3.001 μB/f.u.
# E (MP2020) = -156.654 eV/cell
data_LiPr2RuO6
_symmetry_space_group_name_H-M 'P 1'
_symmetry_Int_Tables_number 1
_cell_length_a 5.511
_cell_length_b 5.802
_cell_length_c 9.539
_cell_angle_alpha 90.00
_cell_angle_beta 124.82
_cell_angle_gamma 90.00
loop_
_symmetry_equiv_pos_as_xyz
'x,y,z'
loop_
_atom_site_label
_atom_site_type_symbol
_atom_site_fract_x
_atom_site_fract_y
_atom_site_fract_z
_atom_site_occupancy
Li1 Li 0.000 0.000 0.000 1
Li2 Li 0.000 0.500 0.500 1
Pr1 Pr 0.234 0.067 0.749 1
Pr2 Pr 0.234 0.433 0.249 1
Pr3 Pr 0.766 0.567 0.751 1
Pr4 Pr 0.766 0.933 0.251 1
Ru1 Ru 0.500 0.000 0.500 1
Ru2 Ru 0.500 0.500 0.000 1
O1 O 0.161 0.189 0.453 1
O2 O 0.161 0.311 0.953 1
O3 O 0.264 0.713 0.450 1
O4 O 0.264 0.787 0.950 1
O5 O 0.350 0.026 0.256 1
O6 O 0.350 0.474 0.756 1
O7 O 0.650 0.526 0.244 1
O8 O 0.650 0.974 0.744 1
O9 O 0.736 0.213 0.050 1
O10 O 0.736 0.287 0.550 1
O11 O 0.839 0.689 0.047 1
O12 O 0.839 0.811 0.547 1

***

Record 3
# PBE Li2PtO3, optimized geometry
# total DFT energy (no corrections) = -393.20 eV for the cell shown
# crystal system = monoclinic
# DFT formation energy = -1.682 eV per atom
# E (MP2020) = -417.934 eV/cell
data_Li2PtO3
_symmetry_space_group_name_H-M 'P 1'
_symmetry_Int_Tables_number 1
_cell_length_a 5.270
_cell_length_b 5.270
_cell_length_c 29.021
_cell_angle_alpha 90.01
_cell_angle_beta 90.01
_cell_angle_gamma 119.93
loop_
_symmetry_equiv_pos_as_xyz
'x,y,z'
loop_
_atom_site_label
_atom_site_type_symbol
_atom_site_fract_x
_atom_site_fract_y
_atom_site_fract_z
_atom_site_occupancy
Li1 Li 0.000 0.000 0.000 1
Li2 Li 0.000 0.333 0.417 1
Li3 Li 0.000 0.333 0.667 1
Li4 Li 0.000 0.334 0.167 1
Li5 Li 0.002 0.664 0.583 1
Li6 Li 0.328 0.330 0.083 1
Li7 Li 0.331 0.336 0.583 1
Li8 Li 0.333 0.001 0.917 1
Li9 Li 0.333 0.666 0.250 1
Li10 Li 0.333 0.667 0.500 1
Li11 Li 0.334 0.667 0.750 1
Li12 Li 0.336 0.998 0.417 1
Li13 Li 0.664 0.669 0.417 1
Li14 Li 0.666 0.000 0.833 1
Li15 Li 0.667 0.000 0.333 1
Li16 Li 0.667 0.000 0.583 1
Li17 Li 0.669 0.331 0.250 1
Li18 Li 0.669 0.331 0.750 1
Li19 Li 0.670 0.672 0.917 1
Li20 Li 0.671 0.002 0.083 1
Li21 Li 0.997 0.002 0.250 1
Li22 Li 0.998 0.003 0.750 1
Li23 Li 0.998 0.329 0.917 1
Li24 Li 0.999 0.667 0.083 1
Pt1 Pt 0.000 0.000 0.500 1
Pt2 Pt 0.000 0.667 0.333 1
Pt3 Pt 0.000 0.667 0.833 1
Pt4 Pt 0.333 0.000 0.167 1
Pt5 Pt 0.333 0.000 0.667 1
Pt6 Pt 0.333 0.333 0.333 1
Pt7 Pt 0.333 0.334 0.833 1
Pt8 Pt 0.333 0.667 0.000 1
Pt9 Pt 0.666 0.667 0.167 1
Pt10 Pt 0.667 0.333 0.000 1
Pt11 Pt 0.667 0.333 0.500 1
Pt12 Pt 0.667 0.667 0.667 1
O1 O 0.000 0.653 0.961 1
O2 O 0.000 0.681 0.205 1
O3 O 0.000 0.986 0.127 1
O4 O 0.000 0.986 0.628 1
O5 O 0.001 0.348 0.039 1
O6 O 0.014 0.000 0.372 1
O7 O 0.014 0.000 0.873 1
O8 O 0.014 0.348 0.294 1
O9 O 0.014 0.348 0.794 1
O10 O 0.319 0.000 0.795 1
O11 O 0.319 0.001 0.295 1
O12 O 0.319 0.652 0.373 1
O13 O 0.320 0.653 0.872 1
O14 O 0.333 0.014 0.539 1
O15 O 0.334 0.320 0.461 1
O16 O 0.347 0.000 0.039 1
O17 O 0.347 0.333 0.705 1
O18 O 0.347 0.334 0.205 1
O19 O 0.347 0.347 0.961 1
O20 O 0.347 0.680 0.128 1
O21 O 0.348 0.681 0.627 1
O22 O 0.652 0.986 0.206 1
O23 O 0.652 0.986 0.706 1
O24 O 0.652 0.999 0.961 1
O25 O 0.653 0.333 0.128 1
O26 O 0.653 0.334 0.628 1
O27 O 0.653 0.653 0.039 1
O28 O 0.666 0.347 0.372 1
O29 O 0.666 0.653 0.795 1
O30 O 0.667 0.347 0.872 1
O31 O 0.667 0.653 0.295 1
O32 O 0.680 0.666 0.539 1
O33 O 0.681 0.014 0.461 1
O34 O 0.986 0.319 0.539 1
O35 O 0.986 0.667 0.461 1
O36 O 0.999 0.681 0.705 1